! Cs3YCl6 | the Materials Project database | GGA-PBE | relaxed; values from VASP
&SYSTEM
  ibrav = 0, nat = 10, ntyp = 3
/
ATOMIC_SPECIES
Cs 132.91 Cs.upf
Y 88.91 Y.upf
Cl 35.45 Cl.upf
CELL_PARAMETERS angstrom
0.000 5.933 5.933
5.933 0.000 5.933
5.933 5.933 0.000
ATOMIC_POSITIONS crystal
Cs 0.000 0.000 0.000
Cs 0.250 0.250 0.250
Cs 0.750 0.750 0.750
Y 0.500 0.500 0.500
Cl 0.277 0.277 0.723
Cl 0.277 0.723 0.277
Cl 0.277 0.723 0.723
Cl 0.723 0.277 0.277
Cl 0.723 0.277 0.723
Cl 0.723 0.723 0.277
! MP2020-corrected energy ... -4.51 eV/atom
! Calculated formation energy ... -2483 meV per atom
! Space-group type ... Fm-3m
! Theoretical density ... 2.784 g cm⁻³
! Total magnetic moment ... 0.0 μB/f.u.